[1]
The following is a DFT calculation (PBE with a Hubbard U) of crystalline MgNbV3O10 at its relaxed geometry.

abc: 6.628 6.628 5.704
angles: 90.00 90.00 90.00
Fractional coordinates of all 15 atoms:
O 0.750 0.750 0.671
O 0.546 0.250 0.730
O 0.038 0.750 0.318
O 0.250 0.250 0.329
O 0.250 0.962 0.682
O 0.750 0.454 0.270
O 0.462 0.750 0.318
O 0.954 0.250 0.730
O 0.250 0.538 0.682
O 0.750 0.046 0.270
V 0.250 0.250 0.617
V 0.750 0.750 0.383
V 0.250 0.750 0.500
Nb 0.750 0.250 0.500
Mg 0.750 0.250 0.000

SG: P-4m2
Energy in eV per formula unit: -113.4
DFT formation energy in eV/atom: -2.461
Excess energy over the best structure of this formula in the dataset in eV per atom: 0.025

[2]
The following is a DFT calculation (PBE with a Hubbard U) of crystalline Li5Mn8B8O24 at its relaxed geometry.

abc: 5.335 9.025 11.520
angles: 112.44 101.33 90.51
Fractional coordinates of all 45 atoms:
O 0.276 0.027 0.143
O 0.633 0.042 0.419
O 0.503 0.662 0.393
O 0.082 0.318 0.051
O 0.477 0.364 0.595
O 0.021 0.835 0.610
O 0.444 0.376 0.336
O 0.319 0.796 0.197
O 0.702 0.240 0.827
O 0.639 0.874 0.100
O 0.961 0.863 0.352
O 0.226 0.466 0.877
O 0.996 0.134 0.363
O 0.201 0.694 0.818
O 0.875 0.634 0.919
O 0.868 0.479 0.583
O 0.399 0.158 0.922
O 0.373 0.972 0.574
O 0.138 0.545 0.435
O 0.712 0.981 0.843
O 0.053 0.123 0.680
O 0.551 0.652 0.665
O 0.753 0.496 0.109
O 0.810 0.271 0.174
Li 0.872 0.708 0.422
Li 0.593 0.456 0.923
Li 0.932 0.063 0.165
Li 0.697 0.849 0.663
Li 0.353 0.220 0.407
Mn 0.175 0.625 0.633
Mn 0.848 0.353 0.378
Mn 0.085 0.247 0.869
Mn 0.353 0.865 0.383
Mn 0.406 0.233 0.127
Mn 0.915 0.711 0.128
Mn 0.604 0.794 0.890
Mn 0.654 0.176 0.625
B 0.366 0.530 0.387
B 0.147 0.974 0.623
B 0.866 0.014 0.378
B 0.098 0.593 0.871
B 0.878 0.367 0.113
B 0.631 0.497 0.617
B 0.413 0.903 0.147
B 0.604 0.121 0.863

SG: P1
Energy in eV per formula unit: -335.3
DFT formation energy in eV/atom: -2.446
Excess energy over the best structure of this formula in the dataset in eV per atom: 0.000

[3]
The following is a DFT calculation (PBE with a Hubbard U) of crystalline Ca2MnNbO6 at its relaxed geometry.

abc: 7.651 7.965 7.965
angles: 88.46 89.60 90.40
Fractional coordinates of all 40 atoms:
O 0.452 0.297 0.492
O 0.048 0.992 0.297
O 0.243 0.280 0.190
O 0.048 0.492 0.797
O 0.952 0.008 0.703
O 0.453 0.505 0.798
O 0.953 0.702 0.495
O 0.547 0.995 0.702
O 0.548 0.203 0.008
O 0.047 0.798 0.005
O 0.547 0.495 0.202
O 0.453 0.005 0.298
O 0.257 0.190 0.781
O 0.452 0.797 0.992
O 0.243 0.780 0.690
O 0.757 0.220 0.310
O 0.757 0.720 0.810
O 0.952 0.508 0.203
O 0.743 0.310 0.719
O 0.953 0.202 0.995
O 0.743 0.810 0.219
O 0.548 0.703 0.508
O 0.047 0.298 0.505
O 0.257 0.690 0.281
Ca 0.250 0.530 0.020
Ca 0.750 0.470 0.980
Ca 0.750 0.970 0.480
Ca 0.750 0.480 0.470
Ca 0.250 0.520 0.530
Ca 0.750 0.980 0.970
Ca 0.250 0.020 0.030
Ca 0.250 0.030 0.520
Nb 0.000 0.250 0.750
Nb 0.500 0.250 0.250
Nb 0.000 0.750 0.250
Nb 0.500 0.750 0.750
Mn 0.500 0.750 0.250
Mn 0.000 0.750 0.750
Mn 0.500 0.250 0.750
Mn 0.000 0.250 0.250

Energy in eV per formula unit: -77.2
DFT formation energy in eV/atom: -3.001

[4]
The following is a DFT calculation (PBE with a Hubbard U) of crystalline Na3NiO2 at its relaxed geometry.

abc: 9.476 9.476 4.612
angles: 90.00 90.00 90.00
Fractional coordinates of all 24 atoms:
Na 0.356 0.644 0.000
Na 0.856 0.856 0.500
Na 0.644 0.356 0.000
Na 0.521 0.845 0.500
Na 0.979 0.345 0.000
Na 0.144 0.144 0.500
Na 0.655 0.021 0.000
Na 0.479 0.155 0.500
Na 0.845 0.521 0.500
Na 0.021 0.655 0.000
Na 0.155 0.479 0.500
Na 0.345 0.979 0.000
O 0.197 0.464 0.000
O 0.803 0.536 0.000
O 0.536 0.803 0.000
O 0.036 0.697 0.500
O 0.464 0.197 0.000
O 0.964 0.303 0.500
O 0.303 0.964 0.500
O 0.697 0.036 0.500
Ni 0.672 0.672 0.000
Ni 0.328 0.328 0.000
Ni 0.172 0.828 0.500
Ni 0.828 0.172 0.500

SG: P4_2/mnm
Energy in eV per formula unit: -22.9
DFT formation energy in eV/atom: -1.203

[5]
The following is a DFT calculation (PBE with a Hubbard U) of crystalline HoCrO4 at its relaxed geometry.

abc: 5.970 5.970 5.970
angles: 106.02 106.02 116.62
Fractional coordinates of all 12 atoms:
O 0.759 0.075 0.685
O 0.860 0.675 0.185
O 0.491 0.675 0.815
O 0.390 0.075 0.315
O 0.925 0.241 0.315
O 0.325 0.509 0.185
O 0.925 0.610 0.685
O 0.325 0.140 0.815
Cr 0.750 0.250 0.500
Cr 0.500 0.500 0.000
Ho 0.250 0.750 0.500
Ho 0.000 0.000 0.000

SG: I4_1/amd
Energy in eV per formula unit: -46.0
DFT formation energy in eV/atom: -2.782

[6]
The following is a DFT calculation (PBE with a Hubbard U) of crystalline KCrF4 at its relaxed geometry.

abc: 7.584 16.076 18.711
angles: 90.00 90.00 90.00
Fractional coordinates of all 144 atoms:
F 0.448 0.668 0.026
F 0.461 0.019 0.899
F 0.442 0.164 0.116
F 0.049 0.252 0.340
F 0.948 0.332 0.974
F 0.250 0.106 0.360
F 0.042 0.164 0.970
F 0.750 0.894 0.640
F 0.041 0.403 0.274
F 0.750 0.666 0.111
F 0.542 0.836 0.030
F 0.951 0.748 0.660
F 0.250 0.781 0.461
F 0.461 0.519 0.601
F 0.750 0.713 0.448
F 0.750 0.219 0.539
F 0.442 0.664 0.384
F 0.250 0.334 0.889
F 0.543 0.527 0.091
F 0.541 0.097 0.774
F 0.451 0.752 0.160
F 0.542 0.336 0.470
F 0.980 0.328 0.120
F 0.058 0.164 0.116
F 0.458 0.664 0.530
F 0.959 0.597 0.726
F 0.750 0.394 0.860
F 0.750 0.114 0.894
F 0.020 0.172 0.620
F 0.039 0.019 0.899
F 0.539 0.481 0.399
F 0.058 0.664 0.384
F 0.043 0.973 0.591
F 0.040 0.399 0.778
F 0.250 0.287 0.552
F 0.250 0.148 0.845
F 0.448 0.168 0.474
F 0.750 0.719 0.961
F 0.750 0.852 0.155
F 0.750 0.213 0.052
F 0.052 0.168 0.474
F 0.960 0.601 0.222
F 0.250 0.606 0.140
F 0.540 0.101 0.278
F 0.052 0.668 0.026
F 0.948 0.832 0.526
F 0.552 0.832 0.526
F 0.942 0.836 0.884
F 0.960 0.101 0.278
F 0.750 0.166 0.389
F 0.558 0.836 0.884
F 0.250 0.886 0.106
F 0.520 0.828 0.380
F 0.458 0.164 0.970
F 0.250 0.834 0.611
F 0.958 0.336 0.470
F 0.942 0.336 0.616
F 0.480 0.672 0.880
F 0.750 0.614 0.606
F 0.958 0.836 0.030
F 0.042 0.664 0.530
F 0.460 0.899 0.722
F 0.041 0.903 0.226
F 0.250 0.648 0.655
F 0.951 0.248 0.840
F 0.961 0.981 0.101
F 0.480 0.172 0.620
F 0.020 0.672 0.880
F 0.520 0.328 0.120
F 0.040 0.899 0.722
F 0.043 0.473 0.909
F 0.250 0.386 0.394
F 0.549 0.248 0.840
F 0.957 0.527 0.091
F 0.540 0.601 0.222
F 0.457 0.473 0.909
F 0.539 0.981 0.101
F 0.451 0.252 0.340
F 0.558 0.336 0.616
F 0.250 0.281 0.039
F 0.957 0.027 0.409
F 0.543 0.027 0.409
F 0.961 0.481 0.399
F 0.039 0.519 0.601
F 0.049 0.752 0.160
F 0.541 0.597 0.726
F 0.460 0.399 0.778
F 0.459 0.403 0.274
F 0.457 0.973 0.591
F 0.250 0.787 0.948
F 0.980 0.828 0.380
F 0.459 0.903 0.226
F 0.549 0.748 0.660
F 0.750 0.352 0.345
F 0.959 0.097 0.774
F 0.552 0.332 0.974
Cr 0.999 0.753 0.953
Cr 0.501 0.368 0.369
Cr 0.001 0.247 0.047
Cr 0.999 0.868 0.131
Cr 0.501 0.753 0.953
Cr 0.502 0.636 0.126
Cr 0.001 0.632 0.631
Cr 0.001 0.132 0.869
Cr 0.999 0.368 0.369
Cr 0.002 0.364 0.874
Cr 0.001 0.747 0.453
Cr 0.998 0.636 0.126
Cr 0.999 0.253 0.547
Cr 0.501 0.868 0.131
Cr 0.499 0.247 0.047
Cr 0.998 0.136 0.374
Cr 0.498 0.864 0.626
Cr 0.502 0.136 0.374
Cr 0.499 0.632 0.631
Cr 0.499 0.132 0.869
Cr 0.498 0.364 0.874
Cr 0.501 0.253 0.547
Cr 0.002 0.864 0.626
Cr 0.499 0.747 0.453
K 0.750 0.430 0.180
K 0.250 0.457 0.032
K 0.750 0.601 0.334
K 0.250 0.782 0.290
K 0.250 0.539 0.477
K 0.250 0.041 0.215
K 0.250 0.570 0.820
K 0.250 0.899 0.834
K 0.750 0.543 0.968
K 0.250 0.039 0.023
K 0.750 0.101 0.166
K 0.750 0.959 0.785
K 0.750 0.961 0.977
K 0.250 0.541 0.285
K 0.750 0.718 0.790
K 0.250 0.399 0.666
K 0.250 0.957 0.468
K 0.750 0.459 0.715
K 0.250 0.282 0.210
K 0.750 0.461 0.523
K 0.750 0.218 0.710
K 0.250 0.070 0.680
K 0.750 0.043 0.532
K 0.750 0.930 0.320

SG: Pnma
Energy in eV per formula unit: -33.2
DFT formation energy in eV/atom: -3.105

[7]
The following is a DFT calculation (PBE with a Hubbard U) of crystalline SrCrSnP3O12 at its relaxed geometry.

abc: 9.155 9.155 9.155
angles: 55.95 55.95 55.95
Fractional coordinates of all 36 atoms:
O 0.709 0.955 0.058
O 0.409 0.233 0.593
O 0.767 0.407 0.591
O 0.524 0.117 0.281
O 0.250 0.359 0.983
O 0.593 0.409 0.233
O 0.233 0.593 0.409
O 0.641 0.017 0.750
O 0.407 0.591 0.767
O 0.017 0.750 0.641
O 0.750 0.641 0.017
O 0.591 0.767 0.407
O 0.883 0.719 0.476
O 0.117 0.281 0.524
O 0.058 0.709 0.955
O 0.291 0.045 0.942
O 0.955 0.058 0.709
O 0.281 0.524 0.117
O 0.045 0.942 0.291
O 0.359 0.983 0.250
O 0.719 0.476 0.883
O 0.476 0.883 0.719
O 0.942 0.291 0.045
O 0.983 0.250 0.359
Sn 0.351 0.351 0.351
Sn 0.649 0.649 0.649
P 0.039 0.755 0.460
P 0.245 0.540 0.961
P 0.961 0.245 0.540
P 0.460 0.039 0.755
P 0.540 0.961 0.245
P 0.755 0.460 0.039
Cr 0.150 0.150 0.150
Cr 0.850 0.850 0.850
Sr 0.500 0.500 0.500
Sr 0.000 0.000 0.000

SG: R-3
Energy in eV per formula unit: -130.2
DFT formation energy in eV/atom: -2.748

[8]
The following is a DFT calculation (PBE with a Hubbard U) of crystalline MgCu2Mo2O8 at its relaxed geometry.

abc: 5.593 5.352 6.030
angles: 94.02 81.14 67.75
Fractional coordinates of all 13 atoms:
O 0.829 0.999 0.408
O 0.810 0.494 0.614
O 0.775 0.441 0.143
O 0.210 0.974 0.599
O 0.270 0.530 0.822
O 0.280 0.999 0.122
O 0.208 0.462 0.366
O 0.741 0.922 0.857
Mo 0.974 0.255 0.329
Mo 0.049 0.728 0.641
Cu 0.551 0.007 0.277
Cu 0.385 0.136 0.787
Mg 0.558 0.629 0.921

SG: P1
Energy in eV per formula unit: -82.0
DFT formation energy in eV/atom: -1.757
Excess energy over the best structure of this formula in the dataset in eV per atom: 0.045